# MoW2S6 (PBE, optimized geometry)
data_MoW2S6
_chemical_formula_sum 'Mo1 W2 S6'
_cell_length_a 3.188
_cell_length_b 3.188
_cell_length_c 29.115
_cell_angle_alpha 90.00
_cell_angle_beta 90.00
_cell_angle_gamma 120.00
_symmetry_space_group_name_H-M 'P 1'
_symmetry_Int_Tables_number 1
_symmetry_space_group_name_Hall 'P 1'
loop_
_atom_site_label
_atom_site_type_symbol
_atom_site_fract_x
_atom_site_fract_y
_atom_site_fract_z
Mo1 Mo 0.667 0.333 0.000
W1 W 0.333 0.667 0.769
W2 W 0.333 0.667 0.231
S1 S 0.333 0.667 0.054
S2 S 0.667 0.333 0.715
S3 S 0.667 0.333 0.177
S4 S 0.667 0.333 0.823
S5 S 0.667 0.333 0.285
S6 S 0.333 0.667 0.946
# **Mass density**: 4.25 g cm⁻³
# **E (MP2020)**: -8.010 eV per atom
# **Formation energy from the elements**: -1.1677 eV per atom

***

# Si2H2O3 (PBE, optimized geometry)
data_Si2H2O3
_chemical_formula_sum 'Si20 H20 O30'
_cell_length_a 13.321
_cell_length_b 9.248
_cell_length_c 13.322
_cell_angle_alpha 103.76
_cell_angle_beta 142.55
_cell_angle_gamma 93.42
_symmetry_space_group_name_H-M 'P 1'
_symmetry_Int_Tables_number 1
_symmetry_space_group_name_Hall 'P 1'
loop_
_atom_site_label
_atom_site_type_symbol
_atom_site_fract_x
_atom_site_fract_y
_atom_site_fract_z
Si1 Si 0.636 0.861 0.493
Si2 Si 0.671 0.603 0.295
Si3 Si 0.308 0.100 0.432
Si4 Si 0.365 0.357 0.724
Si5 Si 0.030 0.106 0.797
Si6 Si 0.728 0.353 0.481
Si7 Si 0.871 0.848 0.122
Si8 Si 0.305 0.603 0.576
Si9 Si 0.582 0.054 0.341
Si10 Si 0.167 0.513 0.855
Si11 Si 0.654 0.007 0.842
Si12 Si 0.710 0.547 0.967
Si13 Si 0.426 0.829 0.983
Si14 Si 0.353 0.907 0.310
Si15 Si 0.597 0.405 0.054
Si16 Si 0.846 0.323 0.901
Si17 Si 0.069 0.867 0.616
Si18 Si 0.751 0.645 0.691
Si19 Si 0.950 0.138 0.389
Si20 Si 0.251 0.365 0.300
H1 H 0.991 0.844 0.851
H2 H 0.627 0.342 0.226
H3 H 0.115 0.840 0.213
H4 H 0.993 0.340 0.353
H5 H 0.264 0.097 0.085
H6 H 0.982 0.243 0.765
H7 H 0.473 0.740 0.762
H8 H 0.007 0.592 0.331
H9 H 0.524 0.890 0.647
H10 H 0.247 0.399 0.866
H11 H 0.435 0.620 0.210
H12 H 0.409 0.117 0.686
H13 H 0.121 0.144 0.702
H14 H 0.397 0.383 0.349
H15 H 0.038 0.882 0.488
H16 H 0.437 0.644 0.523
H17 H 0.839 0.094 0.385
H18 H 0.149 0.478 0.011
H19 H 0.472 0.982 0.837
H20 H 0.710 0.601 0.757
O1 O 0.869 0.941 0.686
O2 O 0.653 0.419 0.321
O3 O 0.097 0.915 0.263
O4 O 0.252 0.437 0.572
O5 O 0.216 0.163 0.017
O6 O 0.949 0.421 0.647
O7 O 0.771 0.915 0.968
O8 O 0.141 0.659 0.446
O9 O 0.391 0.026 0.254
O10 O 0.262 0.687 0.906
O11 O 0.778 0.178 0.918
O12 O 0.770 0.520 0.131
O13 O 0.268 0.880 0.799
O14 O 0.969 0.762 0.872
O15 O 0.887 0.255 0.288
O16 O 0.081 0.377 0.114
O17 O 0.622 0.737 0.565
O18 O 0.891 0.725 0.506
O19 O 0.220 0.224 0.336
O20 O 0.167 0.231 0.612
O21 O 0.574 0.685 0.326
O22 O 0.356 0.180 0.609
O23 O 0.068 0.053 0.695
O24 O 0.695 0.474 0.555
O25 O 0.916 0.968 0.275
O26 O 0.355 0.551 0.486
O27 O 0.504 0.993 0.154
O28 O 0.224 0.547 0.028
O29 O 0.521 0.046 0.826
O30 O 0.832 0.483 0.979
# **Energy above the most stable polymorph in this dataset**: 364 meV per atom
# **Mass density**: 2.00 g cm⁻³
# **E (MP2020)**: -6.353 eV per atom
# **Formation energy from the elements**: -1.7127 eV per atom